DFT (PBE-GGA) results for a relaxed UCoNiGe2 crystal.

- DFT total energy (eV/atom) = -7.027
- energy above the most stable polymorph in this dataset (meV/atom) = 43
- formation energy from the elements (kJ per mole of atoms) = -33

a b c (Å): 5.691 5.691 5.691
angles (deg): 139.05 139.05 59.30
Element x y z (fractional)
U1 0.000 0.000 0.000
Co1 0.250 0.750 0.500
Ni1 0.750 0.250 0.500
Ge1 0.377 0.377 0.000
Ge2 0.623 0.623 0.000

=====

DFT (PBE-GGA) results for a relaxed PrMg2Ag crystal.

- DFT total energy (eV/atom) = -2.826
- formation energy from the elements (kJ per mole of atoms) = -12
- total magnetization (μB per formula unit) = 0.00

a b c (Å): 5.103 5.103 5.103
angles (deg): 60.00 60.00 60.00
Element x y z (fractional)
Pr1 0.000 0.000 0.000
Mg1 0.250 0.250 0.250
Mg2 0.750 0.750 0.750
Ag1 0.500 0.500 0.500

=====

DFT (PBE-GGA) results for a relaxed HoInPd crystal.

- DFT total energy (eV/atom) = -4.987
- formation energy from the elements (kJ per mole of atoms) = -79

a b c (Å): 7.760 7.760 3.785
angles (deg): 90.00 90.00 120.00
Element x y z (fractional)
Ho1 0.000 0.595 0.000
Ho2 0.405 0.405 0.000
Ho3 0.595 0.000 0.000
In1 0.000 0.262 0.500
In2 0.262 0.000 0.500
In3 0.738 0.738 0.500
Pd1 0.000 0.000 0.000
Pd2 0.333 0.667 0.500
Pd3 0.667 0.333 0.500

=====

DFT (PBE-GGA) results for a relaxed Cd2SiO4 crystal.

- DFT total energy (eV/atom) = -5.699
- energy above the most stable polymorph in this dataset (meV/atom) = 0
- formation energy from the elements (kJ per mole of atoms) = -215

a b c (Å): 7.819 6.734 5.867
angles (deg): 76.36 56.82 46.82
Element x y z (fractional)
Cd1 0.061 0.689 0.061
Cd2 0.311 0.939 0.311
Cd3 0.689 0.061 0.689
Cd4 0.939 0.311 0.939
Si1 0.375 0.375 0.375
Si2 0.625 0.625 0.625
O1 0.190 0.707 0.353
O2 0.249 0.353 0.707
O3 0.293 0.810 0.751
O4 0.353 0.249 0.190
O5 0.647 0.751 0.810
O6 0.707 0.190 0.249
O7 0.751 0.647 0.293
O8 0.810 0.293 0.647

=====

DFT (PBE-GGA) results for a relaxed Rb2Ta15O32 crystal.

- DFT total energy (eV/atom) = -9.586
- formation energy from the elements (kJ per mole of atoms) = -302

a b c (Å): 12.960 12.960 12.960
angles (deg): 35.41 35.41 35.41
Element x y z (fractional)
Rb1 0.140 0.140 0.140
Rb2 0.860 0.860 0.860
Ta1 0.025 0.571 0.699
Ta2 0.053 0.815 0.228
Ta3 0.185 0.772 0.947
Ta4 0.228 0.053 0.815
Ta5 0.301 0.975 0.429
Ta6 0.362 0.362 0.362
Ta7 0.429 0.301 0.975
Ta8 0.500 0.500 0.500
Ta9 0.571 0.699 0.025
Ta10 0.638 0.638 0.638
Ta11 0.699 0.025 0.571
Ta12 0.772 0.947 0.185
Ta13 0.815 0.228 0.053
Ta14 0.947 0.185 0.772
Ta15 0.975 0.429 0.301
O1 0.034 0.151 0.447
O2 0.040 0.299 0.858
O3 0.142 0.960 0.701
O4 0.151 0.447 0.034
O5 0.155 0.570 0.457
O6 0.170 0.258 0.571
O7 0.258 0.571 0.170
O8 0.260 0.471 0.672
O9 0.264 0.264 0.264
O10 0.299 0.858 0.040
O11 0.328 0.740 0.529
O12 0.429 0.830 0.742
O13 0.430 0.543 0.845
O14 0.447 0.034 0.151
O15 0.457 0.155 0.570
O16 0.471 0.672 0.260
O17 0.529 0.328 0.740
O18 0.543 0.845 0.430
O19 0.553 0.966 0.849
O20 0.570 0.457 0.155
O21 0.571 0.170 0.258
O22 0.672 0.260 0.471
O23 0.701 0.142 0.960
O24 0.736 0.736 0.736
O25 0.740 0.529 0.328
O26 0.742 0.429 0.830
O27 0.830 0.742 0.429
O28 0.845 0.430 0.543
O29 0.849 0.553 0.966
O30 0.858 0.040 0.299
O31 0.960 0.701 0.142
O32 0.966 0.849 0.553

=====

DFT (PBE-GGA) results for a relaxed Si2Ni6B crystal.

- DFT total energy (eV/atom) = -6.280
- formation energy from the elements (kJ per mole of atoms) = -46

a b c (Å): 6.110 6.110 2.859
angles (deg): 90.00 90.00 120.00
Element x y z (fractional)
Si1 0.333 0.667 0.000
Si2 0.667 0.333 0.000
Ni1 0.000 0.389 0.500
Ni2 0.000 0.755 0.000
Ni3 0.245 0.245 0.000
Ni4 0.389 0.000 0.500
Ni5 0.611 0.611 0.500
Ni6 0.755 0.000 0.000
B1 0.000 0.000 0.500

=====

DFT (PBE-GGA) results for a relaxed Na4Sc3TaP6O24 crystal.

- DFT total energy (eV/atom) = -7.565
- formation energy from the elements (kJ per mole of atoms) = -296
- total magnetization (μB per formula unit) = 0.00

a b c (Å): 8.916 8.919 22.786
angles (deg): 90.02 90.04 119.97
Element x y z (fractional)
Na1 0.000 0.000 0.000
Na2 0.000 0.000 0.494
Na3 0.002 0.368 0.251
Na4 0.030 0.334 0.916
Na5 0.303 0.970 0.916
Na6 0.325 0.659 0.828
Na7 0.334 0.676 0.332
Na8 0.631 0.999 0.747
Na9 0.633 0.633 0.251
Na10 0.659 0.325 0.163
Na11 0.666 0.697 0.916
Na12 0.667 0.342 0.662
Sc1 0.002 0.000 0.354
Sc2 0.002 0.001 0.848
Sc3 0.328 0.660 0.683
Sc4 0.333 0.667 0.986
Sc5 0.334 0.673 0.182
Sc6 0.659 0.326 0.317
Sc7 0.667 0.333 0.517
Sc8 0.667 0.334 0.020
Sc9 0.667 0.341 0.811
Ta1 0.001 0.000 0.643
Ta2 0.002 0.001 0.145
Ta3 0.333 0.666 0.479
P1 0.002 0.292 0.749
P2 0.002 0.712 0.249
P3 0.039 0.372 0.083
P4 0.043 0.666 0.583
P5 0.291 0.000 0.748
P6 0.291 0.289 0.249
P7 0.334 0.962 0.082
P8 0.335 0.378 0.583
P9 0.375 0.041 0.417
P10 0.376 0.334 0.916
P11 0.622 0.957 0.584
P12 0.628 0.667 0.083
P13 0.666 0.042 0.915
P14 0.667 0.625 0.416
P15 0.710 0.000 0.249
P16 0.710 0.709 0.748
P17 0.958 0.624 0.916
P18 0.959 0.334 0.416
O1 0.022 0.188 0.092
O2 0.025 0.210 0.805
O3 0.027 0.822 0.303
O4 0.029 0.836 0.590
O5 0.124 0.480 0.138
O6 0.128 0.643 0.637
O7 0.142 0.645 0.922
O8 0.145 0.502 0.426
O9 0.149 0.448 0.027
O10 0.158 0.683 0.242
O11 0.161 0.470 0.742
O12 0.163 0.696 0.528
O13 0.164 0.194 0.591
O14 0.166 0.978 0.092
O15 0.174 0.207 0.302
O16 0.185 0.974 0.805
O17 0.191 0.021 0.695
O18 0.192 0.014 0.410
O19 0.192 0.172 0.910
O20 0.195 0.172 0.193
O21 0.298 0.854 0.025
O22 0.303 0.466 0.528
O23 0.309 0.471 0.241
O24 0.315 0.841 0.742
O25 0.354 0.497 0.922
O26 0.357 0.855 0.427
O27 0.357 0.873 0.135
O28 0.358 0.486 0.637
O29 0.457 0.301 0.970
O30 0.460 0.151 0.471
O31 0.472 0.163 0.751
O32 0.473 0.311 0.252
O33 0.486 0.116 0.362
O34 0.489 0.351 0.575
O35 0.490 0.367 0.861
O36 0.491 0.143 0.077
O37 0.498 0.644 0.426
O38 0.503 0.858 0.922
O39 0.519 0.876 0.640
O40 0.520 0.644 0.138
O41 0.532 0.836 0.241
O42 0.532 0.836 0.529
O43 0.534 0.700 0.741
O44 0.552 0.701 0.027
O45 0.631 0.518 0.359
O46 0.634 0.120 0.859
O47 0.649 0.138 0.575
O48 0.652 0.510 0.077
O49 0.690 0.537 0.469
O50 0.696 0.532 0.751
O51 0.699 0.159 0.968
O52 0.702 0.168 0.252
O53 0.790 0.820 0.804
O54 0.795 0.968 0.302
O55 0.807 0.971 0.591
O56 0.813 0.835 0.092
O57 0.822 0.808 0.410
O58 0.829 0.020 0.909
O59 0.831 0.025 0.194
O60 0.831 0.296 0.752
O61 0.831 0.810 0.694
O62 0.834 0.532 0.252
O63 0.843 0.543 0.969
O64 0.847 0.310 0.469
O65 0.857 0.348 0.077
O66 0.862 0.512 0.575
O67 0.876 0.510 0.861
O68 0.887 0.369 0.359
O69 0.976 0.806 0.194
O70 0.977 0.168 0.695
O71 0.980 0.809 0.909
O72 0.986 0.178 0.410

=====

DFT (PBE-GGA) results for a relaxed Li5CuP2O8 crystal.

- DFT total energy (eV/atom) = -6.180
- energy above the most stable polymorph in this dataset (meV/atom) = 6
- piezoelectric modulus e_max (C/m2) = 0.3
- formation energy from the elements (kJ per mole of atoms) = -243
- total magnetization (μB per formula unit) = 0.00

a b c (Å): 6.175 5.081 10.751
angles (deg): 90.00 90.53 90.00
Element x y z (fractional)
Li1 0.000 0.045 0.000
Li2 0.000 0.955 0.500
Li3 0.247 0.048 0.762
Li4 0.247 0.952 0.262
Li5 0.500 0.448 0.851
Li6 0.500 0.552 0.351
Li7 0.746 0.442 0.090
Li8 0.746 0.558 0.590
Li9 0.752 0.053 0.761
Li10 0.752 0.947 0.261
Cu1 0.257 0.451 0.099
Cu2 0.257 0.549 0.599
P1 0.504 0.057 0.512
P2 0.504 0.943 0.012
P3 0.993 0.447 0.337
P4 0.993 0.553 0.837
O1 0.204 0.444 0.775
O2 0.204 0.556 0.275
O3 0.294 0.029 0.082
O4 0.294 0.971 0.582
O5 0.502 0.052 0.877
O6 0.502 0.948 0.377
O7 0.511 0.364 0.508
O8 0.511 0.636 0.008
O9 0.707 0.044 0.085
O10 0.707 0.956 0.585
O11 0.791 0.453 0.764
O12 0.791 0.547 0.264
O13 0.987 0.444 0.972
O14 0.987 0.556 0.472
O15 0.999 0.140 0.337
O16 0.999 0.860 0.837

=====

> What is the DFT total energy in the fourth record?

-5.699 eV/atom